## w
Material: Mn2ZnO4
Method: DFT, PBE with a Hubbard U
State: optimized geometry

Cell and atoms, written as POSCAR:
```
Mn2ZnO4
1.0
2.123 -4.090 -3.597
4.639 -0.641 3.509
-5.591 -0.863 2.363
Zn O Mn
2 8 4
direct
0.379 0.629 0.754 Zn
0.621 0.371 0.246 Zn
0.210 0.228 0.956 O
0.790 0.772 0.044 O
0.249 0.768 0.491 O
0.777 0.246 0.994 O
0.751 0.232 0.509 O
0.751 0.777 0.506 O
0.249 0.223 0.494 O
0.223 0.754 0.006 O
0.000 0.000 0.000 Mn
0.000 0.500 0.000 Mn
0.000 0.000 0.500 Mn
0.500 0.000 0.500 Mn
```

Values from the calculation:
The value obtained for the calculated volume is 11.11 A^3/atom.

---

## x
Material: Mn2ZnO4
Method: DFT, PBE with a Hubbard U
State: optimized geometry

Cell and atoms, written as POSCAR:
```
Mn2ZnO4
1.0
3.016 0.000 0.000
0.000 9.721 0.000
0.000 0.000 9.903
Mn O Zn
8 16 4
direct
0.295 0.070 0.384 Mn
0.705 0.430 0.884 Mn
0.295 0.930 0.116 Mn
0.705 0.930 0.616 Mn
0.295 0.430 0.384 Mn
0.295 0.570 0.116 Mn
0.705 0.570 0.616 Mn
0.705 0.070 0.884 Mn
0.289 0.887 0.470 O
0.125 0.000 0.750 O
0.289 0.113 0.030 O
0.677 0.750 0.707 O
0.711 0.613 0.970 O
0.677 0.250 0.793 O
0.875 0.000 0.250 O
0.289 0.387 0.030 O
0.711 0.887 0.970 O
0.875 0.500 0.250 O
0.711 0.113 0.530 O
0.289 0.613 0.470 O
0.125 0.500 0.750 O
0.323 0.250 0.293 O
0.323 0.750 0.207 O
0.711 0.387 0.530 O
0.175 0.750 0.854 Zn
0.825 0.250 0.146 Zn
0.175 0.250 0.646 Zn
0.825 0.750 0.354 Zn
```

Values from the calculation:
The value obtained for the calculated volume is 10.37 A^3/atom.

---

Tell me which of them is the least stable. Sure, it is x.